Entry 1:
Here is a relaxed Li4Mn3V2Ni3O16 crystal from the Materials Project database. Energies are from GGA+U.

Lattice parameters (Å, degrees): 5.8739 5.8739 9.4167 88.79 88.79 59.12
Fractional positions:
O (0.8351, 0.3519, 0.4086)
O (0.6543, 0.1760, 0.9096)
O (0.0416, 0.4674, 0.1512)
O (0.0051, 0.0051, 0.6929)
O (0.4815, 0.4815, 0.1414)
O (0.1600, 0.1600, 0.8952)
O (0.3254, 0.3254, 0.3920)
O (0.6561, 0.6561, 0.8918)
O (0.8258, 0.8258, 0.4224)
O (0.9556, 0.5048, 0.6551)
O (0.0093, 0.0093, 0.1993)
O (0.4674, 0.0416, 0.1512)
O (0.5191, 0.5191, 0.6644)
O (0.3519, 0.8351, 0.4086)
O (0.5048, 0.9556, 0.6551)
O (0.1760, 0.6543, 0.9096)
Li (0.9992, 0.9992, 0.0113)
Li (0.6680, 0.6680, 0.0981)
Li (0.0029, 0.0029, 0.5035)
Li (0.3290, 0.3290, 0.5984)
Ni (0.6617, 0.1688, 0.2892)
Ni (0.8285, 0.8285, 0.7862)
Ni (0.1688, 0.6617, 0.2892)
Mn (0.1758, 0.1758, 0.2805)
Mn (0.3404, 0.8350, 0.7835)
Mn (0.8350, 0.3404, 0.7835)
V (0.3549, 0.3549, 0.0183)
V (0.6694, 0.6694, 0.5020)

As for the space group: Cm (8). As for the energy of formation: -1.950 eV/atom.

***

Entry 2:
Here is a relaxed Na3Li3Fe2P2C2O14 crystal from the Materials Project database. Energies are from GGA+U.

Lattice parameters (Å, degrees): 8.3118 10.0655 8.3852 108.74 103.08 106.89
Fractional positions:
O (0.4566, 0.6693, 0.3931)
O (0.5599, 0.0994, 0.8374)
O (0.9385, 0.4174, 0.6684)
O (0.1526, 0.6789, 0.7148)
O (0.3447, 0.8898, 0.6012)
O (0.5715, 0.5876, 0.8219)
O (0.0598, 0.0995, 0.3372)
O (0.2808, 0.4333, 0.5526)
O (0.4499, 0.1266, 0.1950)
O (0.7106, 0.5768, 0.4573)
O (0.4384, 0.4174, 0.1682)
O (0.0255, 0.3297, 0.0821)
O (0.5527, 0.8638, 0.7971)
O (0.9566, 0.6692, 0.8933)
O (0.1534, 0.1122, 0.9070)
O (0.6529, 0.6788, 0.2150)
O (0.7808, 0.4331, 0.0528)
O (0.0529, 0.8640, 0.2972)
O (0.0713, 0.5876, 0.3218)
O (0.6534, 0.1122, 0.4070)
O (0.8567, 0.3299, 0.2889)
O (0.8446, 0.8896, 0.1011)
O (0.9492, 0.1263, 0.6954)
O (0.9326, 0.8948, 0.6846)
O (0.2108, 0.5769, 0.9572)
O (0.3565, 0.3299, 0.7886)
O (0.4326, 0.8949, 0.1841)
O (0.5251, 0.3295, 0.5818)
Fe (0.1951, 0.3500, 0.9402)
Fe (0.8097, 0.6545, 0.0585)
Fe (0.6949, 0.3499, 0.4402)
Fe (0.3096, 0.6546, 0.5582)
Li (0.2558, 0.7239, 0.2356)
Li (0.0216, 0.2858, 0.4881)
Li (0.4873, 0.7216, 0.0127)
Li (0.7558, 0.7240, 0.7358)
Li (0.9870, 0.7215, 0.5128)
Li (0.5214, 0.2854, 0.9886)
Na (0.2063, 0.9141, 0.9490)
Na (0.7551, 0.2555, 0.7535)
Na (0.7062, 0.9141, 0.4492)
Na (0.2553, 0.2555, 0.2535)
Na (0.7873, 0.0840, 0.0574)
Na (0.2871, 0.0840, 0.5576)
P (0.4357, 0.4241, 0.6883)
P (0.9358, 0.4240, 0.1884)
P (0.0638, 0.5820, 0.8073)
P (0.5637, 0.5819, 0.3073)
C (0.0105, 0.0434, 0.7618)
C (0.4866, 0.9520, 0.7462)
C (0.5108, 0.0436, 0.2615)
C (0.9866, 0.9520, 0.2461)

The value obtained for the distance to the lowest polymorph of the same formula is 6 meV/atom. As for the energy of formation: -2.302 eV/atom.

***

Entry 3:
Here is a relaxed LiW2O6 crystal from the Materials Project database. Energies are from GGA+U.

Lattice parameters (Å, degrees): 6.5681 6.5681 6.5681 109.85 109.41 109.15
Fractional positions:
O (0.5004, 0.7903, 0.7101)
O (0.2012, 0.7053, 0.9064)
O (0.2012, 0.2947, 0.4959)
O (0.7988, 0.7053, 0.5041)
O (0.0802, 0.7903, 0.2899)
O (0.9198, 0.2097, 0.7101)
O (0.2933, 0.4944, 0.2011)
O (0.7067, 0.9077, 0.2011)
O (0.2933, 0.0923, 0.7989)
O (0.7067, 0.5056, 0.7989)
O (0.4996, 0.2097, 0.2899)
O (0.7988, 0.2947, 0.0936)
W (0.5000, 0.5000, 0.5000)
W (0.0000, 0.0000, 0.5000)
W (0.5000, 0.0000, 0.0000)
W (0.0000, 0.5000, 0.0000)
Li (0.5000, 0.5000, 0.0000)
Li (0.0000, 0.5000, 0.5000)

As for the space group: Immm (71). As for the energy of formation: -2.191 eV/atom.

***

Entry 4:
Here is a relaxed Li9Mn2Co5O16 crystal from the Materials Project database. Energies are from GGA+U.

Lattice parameters (Å, degrees): 5.9100 6.4474 7.8918 88.63 103.75 104.96
Fractional positions:
O (0.3039, 0.0773, 0.1755)
O (0.7042, 0.9420, 0.8230)
O (0.8056, 0.5752, 0.6697)
O (0.9434, 0.7058, 0.0610)
O (0.6657, 0.4493, 0.3170)
O (0.5702, 0.8017, 0.4492)
O (0.3264, 0.5437, 0.6725)
O (0.4311, 0.1972, 0.5508)
O (0.1946, 0.4224, 0.3251)
O (0.5387, 0.3099, 0.9271)
O (0.0477, 0.8291, 0.4232)
O (0.8350, 0.0495, 0.1808)
O (0.0718, 0.3053, 0.9484)
O (0.1606, 0.9483, 0.8192)
O (0.9536, 0.1721, 0.5736)
O (0.4509, 0.6736, 0.0822)
Li (0.5019, 0.9982, 0.9955)
Li (0.1198, 0.6213, 0.8802)
Li (0.6220, 0.1224, 0.3773)
Li (0.3841, 0.8739, 0.6302)
Li (0.2501, 0.7496, 0.2464)
Li (0.8724, 0.3841, 0.1136)
Li (0.9998, 0.4999, 0.5014)
Li (0.6267, 0.6240, 0.8764)
Li (0.7478, 0.2527, 0.7564)
Co (0.7529, 0.7461, 0.2443)
Co (0.1264, 0.1250, 0.3741)
Co (0.2528, 0.2534, 0.7529)
Co (0.8665, 0.8749, 0.6314)
Co (0.3803, 0.3751, 0.1202)
Mn (0.4980, 0.5004, 0.5032)
Mn (0.9950, 0.9965, 0.9981)

As for the space group: P1 (1). The value obtained for the distance to the lowest polymorph of the same formula is 26 meV/atom. As for the energy of formation: -1.839 eV/atom.

***

Entry 5:
Here is a relaxed Li11V12O24F24 crystal from the Materials Project database. Energies are from GGA+U.

Lattice parameters (Å, degrees): 4.8920 7.8447 22.2352 84.45 89.32 89.06
Fractional positions:
O (0.5963, 0.8069, 0.7272)
O (0.1021, 0.3487, 0.6068)
O (0.3719, 0.5190, 0.9419)
O (0.9554, 0.9714, 0.3208)
O (0.0607, 0.3536, 0.3470)
O (0.4475, 0.5314, 0.6768)
O (0.6165, 0.4733, 0.0599)
O (0.0534, 0.6890, 0.0125)
O (0.3761, 0.8553, 0.6082)
O (0.0992, 0.6817, 0.2731)
O (0.5620, 0.1455, 0.6552)
O (0.3758, 0.1884, 0.2737)
O (0.5956, 0.1403, 0.3941)
O (0.0637, 0.0153, 0.6809)
O (0.1063, 0.0185, 0.9389)
O (0.9548, 0.6379, 0.6538)
O (0.5553, 0.4734, 0.3234)
O (0.8926, 0.6479, 0.3930)
O (0.5540, 0.8042, 0.9889)
O (0.9622, 0.3022, 0.9890)
O (0.8926, 0.3141, 0.7263)
O (0.4521, 0.1998, 0.0089)
O (0.8943, 0.9828, 0.0588)
O (0.4478, 0.8649, 0.3433)
F (0.4469, 0.8312, 0.8730)
F (0.5542, 0.1814, 0.8981)
F (0.9067, 0.6778, 0.1270)
F (0.0608, 0.9800, 0.4313)
F (0.4573, 0.4554, 0.4384)
F (0.4426, 0.4972, 0.2081)
F (0.9618, 0.3947, 0.2315)
F (0.9715, 0.0679, 0.5627)
F (0.4473, 0.8156, 0.1008)
F (0.0874, 0.9829, 0.2032)
F (0.0927, 0.3186, 0.8693)
F (0.5836, 0.4981, 0.7912)
F (0.4428, 0.1665, 0.5405)
F (0.0541, 0.2834, 0.0995)
F (0.5841, 0.8313, 0.4578)
F (0.4543, 0.1235, 0.7705)
F (0.5473, 0.8471, 0.2321)
F (0.9224, 0.0044, 0.7945)
F (0.0610, 0.6458, 0.7646)
F (0.0919, 0.6496, 0.5357)
F (0.9741, 0.7367, 0.8944)
F (0.5718, 0.1654, 0.1246)
F (0.9255, 0.3369, 0.4620)
F (0.5493, 0.5151, 0.5655)
Li (0.7583, 0.6359, 0.2078)
Li (0.2149, 0.4603, 0.0439)
Li (0.7600, 0.9747, 0.8759)
Li (0.7543, 0.3079, 0.5431)
Li (0.2524, 0.2015, 0.4683)
Li (0.2222, 0.7715, 0.6941)
Li (0.2512, 0.6953, 0.4570)
Li (0.2499, 0.3626, 0.7907)
Li (0.2213, 0.1091, 0.3602)
Li (0.2471, 0.8679, 0.8013)
Li (0.2453, 0.0288, 0.1249)
V (0.7699, 0.1218, 0.7198)
V (0.2754, 0.3877, 0.2754)
V (0.7167, 0.6091, 0.7194)
V (0.2206, 0.5423, 0.6076)
V (0.2275, 0.2114, 0.9406)
V (0.2710, 0.0526, 0.6128)
V (0.7231, 0.2738, 0.0553)
V (0.2202, 0.8742, 0.2739)
V (0.7746, 0.4536, 0.3872)
V (0.7171, 0.9426, 0.3861)
V (0.7685, 0.7907, 0.0562)
V (0.2737, 0.7180, 0.9449)

As for the space group: P1 (1). As for the energy of formation: -2.635 eV/atom.

***

Entry 6:
Here is a relaxed Li3V5Cr2O12 crystal from the Materials Project database. Energies are from GGA+U.

Lattice parameters (Å, degrees): 5.2313 5.2313 9.9537 84.19 84.19 121.38
Fractional positions:
V (0.5759, 0.4241, 0.5000)
V (0.0005, 0.5159, 0.2361)
V (0.9176, 0.0824, 0.5000)
V (0.4318, 0.5682, 0.0000)
V (0.4841, 0.9995, 0.7639)
O (0.4601, 0.2683, 0.8829)
O (0.2179, 0.0479, 0.6132)
O (0.7754, 0.9793, 0.8802)
O (0.7317, 0.5399, 0.1171)
O (0.1624, 0.6125, 0.8828)
O (0.8565, 0.3591, 0.6129)
O (0.9521, 0.7821, 0.3869)
O (0.3875, 0.8376, 0.1172)
O (0.5221, 0.7255, 0.6128)
O (0.2745, 0.4779, 0.3872)
O (0.6409, 0.1435, 0.3871)
O (0.0207, 0.2246, 0.1198)
Li (0.0779, 0.9221, 0.0000)
Li (0.1584, 0.3186, 0.7628)
Li (0.6814, 0.8416, 0.2372)
Cr (0.7518, 0.2482, 0.0000)
Cr (0.2428, 0.7572, 0.5000)

As for the space group: C2 (5). As for the energy of formation: -2.399 eV/atom.

***

Entry 7:
Here is a relaxed MgScMo3O8 crystal from the Materials Project database. Energies are from GGA+U.

Lattice parameters (Å, degrees): 6.1966 6.4337 5.4597 67.10 90.68 119.30
Fractional positions:
O (0.6987, 0.4207, 0.0519)
O (0.4747, 0.4009, 0.5068)
O (0.9263, 0.4033, 0.5113)
O (0.2111, 0.4010, 0.0112)
O (0.2191, 0.9313, 0.0646)
O (0.9694, 0.9119, 0.4777)
O (0.7132, 0.9300, 0.0658)
O (0.4603, 0.9370, 0.5341)
Mo (0.8476, 0.6964, 0.2393)
Mo (0.8404, 0.1738, 0.2741)
Mo (0.3334, 0.1728, 0.2700)
Sc (0.2731, 0.5436, 0.6089)
Mg (0.5556, 0.1107, 0.7984)

As for the space group: P1 (1). The value obtained for the distance to the lowest polymorph of the same formula is 0 meV/atom. As for the energy of formation: -2.403 eV/atom.

***

Entry 8:
Here is a relaxed CrB3H3O9 crystal from the Materials Project database. Energies are from GGA+U.

Lattice parameters (Å, degrees): 9.3128 11.7646 14.2744 90.00 90.00 90.00
Fractional positions:
H (0.2035, 0.2961, 0.1945)
H (0.7035, 0.2039, 0.1945)
H (0.9358, 0.0168, 0.9131)
H (0.7035, 0.7961, 0.3055)
H (0.4358, 0.4832, 0.9131)
H (0.0642, 0.0168, 0.4131)
H (0.5627, 0.0226, 0.4225)
H (0.4373, 0.0226, 0.9225)
H (0.5642, 0.4832, 0.4131)
H (0.7965, 0.7039, 0.8055)
H (0.7965, 0.2961, 0.6945)
H (0.5642, 0.5168, 0.0869)
H (0.9358, 0.9832, 0.5869)
H (0.9373, 0.5226, 0.5775)
H (0.0627, 0.5226, 0.0775)
H (0.2035, 0.7039, 0.3055)
H (0.0627, 0.4774, 0.4225)
H (0.2965, 0.7961, 0.8055)
H (0.0642, 0.9832, 0.0869)
H (0.9373, 0.4774, 0.9225)
H (0.4358, 0.5168, 0.5869)
H (0.4373, 0.9774, 0.5775)
H (0.5627, 0.9774, 0.0775)
H (0.2965, 0.2039, 0.6945)
O (0.0163, 0.7649, 0.1465)
O (0.9837, 0.2351, 0.8535)
O (0.0546, 0.8547, 0.9974)
O (0.5546, 0.3547, 0.5026)
O (0.4837, 0.7351, 0.6465)
O (0.0723, 0.7460, 0.3805)
O (0.9277, 0.7460, 0.8805)
O (0.2187, 0.8246, 0.7614)
O (0.0501, 0.3517, 0.4939)
O (0.5163, 0.7351, 0.1465)
O (0.4454, 0.3547, 0.0026)
O (0.4837, 0.2649, 0.8535)
O (0.4177, 0.0477, 0.6130)
O (0.2462, 0.7494, 0.0746)
O (0.6715, 0.8911, 0.7106)
O (0.5501, 0.1483, 0.4939)
O (0.9454, 0.8547, 0.4974)
O (0.8285, 0.3911, 0.2894)
O (0.5863, 0.4469, 0.1216)
O (0.9277, 0.2540, 0.6195)
O (0.4454, 0.6453, 0.4974)
O (0.1715, 0.6089, 0.7106)
O (0.9454, 0.1453, 0.0026)
O (0.4177, 0.9523, 0.8870)
O (0.9177, 0.4523, 0.6130)
O (0.0501, 0.6483, 0.0061)
O (0.5863, 0.5531, 0.3784)
O (0.7538, 0.2506, 0.9254)
O (0.7813, 0.8246, 0.2614)
O (0.9837, 0.7649, 0.6465)
O (0.5823, 0.0477, 0.1130)
O (0.3285, 0.1089, 0.2894)
O (0.2813, 0.3246, 0.2386)
O (0.4499, 0.8517, 0.5061)
O (0.2187, 0.1754, 0.7386)
O (0.5163, 0.2649, 0.3535)
O (0.9137, 0.0531, 0.6216)
O (0.2462, 0.2506, 0.4254)
O (0.4277, 0.2460, 0.6195)
O (0.6715, 0.1089, 0.7894)
O (0.5723, 0.2460, 0.1195)
O (0.7462, 0.7506, 0.0746)
O (0.5823, 0.9523, 0.3870)
O (0.2538, 0.7506, 0.5746)
O (0.7538, 0.7494, 0.5746)
O (0.0863, 0.9469, 0.3784)
O (0.5501, 0.8517, 0.0061)
O (0.7187, 0.3246, 0.7386)
O (0.0546, 0.1453, 0.5026)
O (0.0723, 0.2540, 0.1195)
O (0.3285, 0.8911, 0.2106)
O (0.9499, 0.3517, 0.9939)
O (0.5546, 0.6453, 0.9974)
O (0.0823, 0.5477, 0.3870)
O (0.9499, 0.6483, 0.5061)
O (0.9137, 0.9469, 0.8784)
O (0.0863, 0.0531, 0.1216)
O (0.7462, 0.2494, 0.4254)
O (0.1715, 0.3911, 0.7894)
O (0.4137, 0.5531, 0.8784)
O (0.9177, 0.5477, 0.8870)
O (0.4277, 0.7540, 0.8805)
O (0.4499, 0.1483, 0.9939)
O (0.2538, 0.2494, 0.9254)
O (0.7187, 0.6754, 0.7614)
O (0.5723, 0.7540, 0.3805)
O (0.8285, 0.6089, 0.2106)
O (0.7813, 0.1754, 0.2386)
O (0.0823, 0.4523, 0.1130)
O (0.2813, 0.6754, 0.2614)
O (0.0163, 0.2351, 0.3535)
O (0.4137, 0.4469, 0.6216)
B (0.9664, 0.1479, 0.5807)
B (0.9094, 0.2456, 0.9502)
B (0.5906, 0.7456, 0.0498)
B (0.4664, 0.6479, 0.9193)
B (0.0326, 0.3554, 0.0743)
B (0.0906, 0.7544, 0.0498)
B (0.0336, 0.1479, 0.0807)
B (0.4664, 0.3521, 0.5807)
B (0.4674, 0.1446, 0.5743)
B (0.9674, 0.3554, 0.5743)
B (0.5906, 0.2544, 0.4502)
B (0.0906, 0.2456, 0.4502)
B (0.5326, 0.8554, 0.4257)
B (0.0336, 0.8521, 0.4193)
B (0.4094, 0.2544, 0.9502)
B (0.4094, 0.7456, 0.5498)
B (0.9674, 0.6446, 0.9257)
B (0.9094, 0.7544, 0.5498)
B (0.4674, 0.8554, 0.9257)
B (0.0326, 0.6446, 0.4257)
B (0.5326, 0.1446, 0.0743)
B (0.5336, 0.3521, 0.0807)
B (0.9664, 0.8521, 0.9193)
B (0.5336, 0.6479, 0.4193)
Cr (0.6563, 0.2355, 0.8248)
Cr (0.1563, 0.7355, 0.6752)
Cr (0.3437, 0.7645, 0.1752)
Cr (0.3437, 0.2355, 0.3249)
Cr (0.6563, 0.7645, 0.6752)
Cr (0.8437, 0.2645, 0.3249)
Cr (0.1563, 0.2645, 0.8248)
Cr (0.8437, 0.7355, 0.1752)

As for the space group: Pbcn (60). As for the energy of formation: -2.032 eV/atom.